SiPb4Br4O4: optimized geometry, PBE.

Results
calculated density: 6.3 g/cm3
MP2020-corrected energy: -5.27 eV per atom
ΔE_f: -163 kJ per mole of atoms
SG: P2_1/c (14)

Cell: 16.5011 8.5752 9.1947 Å, 87.87 90.00 90.00°
Element x y z (fractional)
Si 0.1494 0.1423 0.3691
Si 0.3506 0.6423 0.3691
Si 0.6494 0.3577 0.6309
Si 0.8506 0.8577 0.6309
Pb 0.2564 0.4212 0.1196
Pb 0.7436 0.5788 0.8804
Pb 0.2967 0.9858 0.5597
Pb 0.2033 0.4858 0.5597
Pb 0.7033 0.0142 0.4403
Pb 0.2436 0.9212 0.1196
Pb 0.5171 0.1973 0.8323
Pb 0.0347 0.1427 0.6505
Pb 0.5347 0.3573 0.3495
Pb 0.9653 0.8573 0.3495
Pb 0.0171 0.3027 0.1677
Pb 0.7967 0.5142 0.4403
Pb 0.4653 0.6427 0.6505
Pb 0.7564 0.0788 0.8804
Pb 0.9829 0.6973 0.8323
Pb 0.4829 0.8027 0.1677
Br 0.1522 0.8664 0.7247
Br 0.8883 0.6160 0.1286
Br 0.6117 0.1160 0.1286
Br 0.6522 0.6336 0.2753
Br 0.3777 0.1611 0.1789
Br 0.1117 0.3840 0.8714
Br 0.8777 0.3389 0.8211
Br 0.8478 0.1336 0.2753
Br 0.6223 0.8389 0.8211
Br 0.1223 0.6611 0.1789
Br 0.3883 0.8840 0.8714
Br 0.0000 0.0000 0.0000
Br 0.3478 0.3664 0.7247
Br 0.5000 0.5000 0.0000
Br 0.0000 0.5000 0.5000
Br 0.5000 0.0000 0.5000
O 0.8422 0.7416 0.7782
O 0.2914 0.4890 0.3542
O 0.6578 0.2416 0.7782
O 0.7086 0.5110 0.6458
O 0.1725 0.2239 0.5232
O 0.3275 0.7239 0.5232
O 0.9490 0.8989 0.6218
O 0.4490 0.6011 0.3782
O 0.7914 0.0110 0.6458
O 0.2086 0.9890 0.3542
O 0.5510 0.3989 0.6218
O 0.6725 0.2761 0.4768
O 0.1578 0.2584 0.2218
O 0.8275 0.7761 0.4768
O 0.0510 0.1011 0.3782
O 0.3422 0.7584 0.2218



SrPb2Br6O5: optimized geometry, PBE.

Results
calculated density: 4.7 g/cm3
MP2020-corrected energy: -3.72 eV per atom
ΔE_f: -58 kJ per mole of atoms
SG: C2/c (15)

Cell: 9.8902 9.8902 8.7881 Å, 69.90 69.90 80.06°
Element x y z (fractional)
Sr 0.8733 0.1267 0.2500
Sr 0.1267 0.8733 0.7500
Pb 0.6456 0.6550 0.0016
Pb 0.3544 0.3450 0.9984
Pb 0.3450 0.3544 0.4984
Pb 0.6550 0.6456 0.5016
Br 0.3104 0.0657 0.9019
Br 0.6896 0.9343 0.0981
Br 0.9343 0.6896 0.5981
Br 0.0657 0.3104 0.4019
Br 0.2913 0.5979 0.1051
Br 0.7087 0.4021 0.8949
Br 0.4021 0.7087 0.3949
Br 0.5979 0.2913 0.6051
Br 0.4575 0.1510 0.3034
Br 0.5425 0.8490 0.6966
Br 0.8490 0.5425 0.1966
Br 0.1510 0.4575 0.8034
O 0.9360 0.0169 0.5462
O 0.0640 0.9831 0.4538
O 0.9831 0.0640 0.9538
O 0.0169 0.9360 0.0462
O 0.7436 0.8846 0.2881
O 0.2564 0.1154 0.7119
O 0.1154 0.2564 0.2119
O 0.8846 0.7436 0.7881
O 0.6748 0.3252 0.2500
O 0.3252 0.6748 0.7500



Te2Pb3Br2O6: optimized geometry, PBE.

Results
calculated density: 7.0 g/cm3
MP2020-corrected energy: -5.32 eV per atom
ΔE_f: -140 kJ per mole of atoms
SG: C2/m (12)

Cell: 9.0883 9.0883 11.2565 Å, 75.77 75.77 37.04°
Element x y z (fractional)
Te 0.6008 0.6008 0.9479
Te 0.3992 0.3992 0.0521
Te 0.8700 0.8700 0.5850
Te 0.1300 0.1300 0.4150
Pb 0.2601 0.2601 0.7909
Pb 0.7399 0.7399 0.2091
Pb 0.0255 0.0255 0.8024
Pb 0.9745 0.9745 0.1976
Pb 0.6646 0.6646 0.6097
Pb 0.3354 0.3354 0.3903
Br 0.8184 0.8184 0.9003
Br 0.1816 0.1816 0.0997
Br 0.4602 0.4602 0.6905
Br 0.5398 0.5398 0.3095
O 0.8632 0.4010 0.8165
O 0.4010 0.8632 0.8165
O 0.1368 0.5990 0.1835
O 0.5990 0.1368 0.1835
O 0.7135 0.2865 0.0000
O 0.2865 0.7135 0.0000
O 0.8888 0.8888 0.4124
O 0.1112 0.1112 0.5876
O 0.0284 0.5523 0.6119
O 0.5523 0.0284 0.6119
O 0.9716 0.4477 0.3881
O 0.4477 0.9716 0.3881



PrBr3O6: optimized geometry, PBE.

Results
calculated density: 3.7 g/cm3
energy above the lowest structure with this stoichiometry: 0 meV per atom
MP2020-corrected energy: -4.97 eV per atom
ΔE_f: -99 kJ per mole of atoms
SG: P2/c (13)

Cell: 6.4147 6.1877 11.1431 Å, 76.17 90.00 90.00°
Element x y z (fractional)
Pr 0.6844 0.7500 0.7500
Pr 0.3156 0.2500 0.2500
Br 0.0778 0.2500 0.7500
Br 0.9222 0.7500 0.2500
Br 0.1972 0.7670 0.5523
Br 0.8028 0.2330 0.4477
Br 0.1972 0.7330 0.9477
Br 0.8028 0.2670 0.0523
O 0.9173 0.4819 0.6953
O 0.0827 0.5181 0.3047
O 0.9173 0.0181 0.8047
O 0.0827 0.9819 0.1953
O 0.7281 0.9853 0.5501
O 0.2719 0.0147 0.4499
O 0.7281 0.5147 0.9499
O 0.2719 0.4853 0.0501
O 0.4132 0.6311 0.6359
O 0.5868 0.3689 0.3641
O 0.4132 0.8689 0.8641
O 0.5868 0.1311 0.1359